## KLiEr2Mo4O16 (PBE+U)

Data for KLiEr2Mo4O16 after structural relaxation.

Output
ρ: 5.2 g/cm³
Energy with MP2020 corrections: -8.14 eV per atom

Unit cell a=6.8638 b=6.8638 c=19.5752 alpha=91.24 beta=91.24 gamma=135.07
Closest atoms and distances in Å follow each position.
Fractional positions:
K: 0.0310 0.9690 0.7500  4 O 2.67-2.69
K: 0.9690 0.0310 0.2500  4 O 2.67-2.69
Li: 0.3133 0.6867 0.7500  4 O 2.03-2.08
Li: 0.6867 0.3133 0.2500  4 O 2.03-2.08
Er: 0.1457 0.8519 0.5318  8 O 2.29-2.48
Er: 0.1481 0.8543 0.9682  8 O 2.29-2.48
Er: 0.8519 0.1457 0.0318  8 O 2.29-2.48
Er: 0.8543 0.1481 0.4682  8 O 2.29-2.48
Mo: 0.2471 0.7313 0.3526  4 O 1.77-1.88
Mo: 0.2687 0.7529 0.1474  4 O 1.77-1.88
Mo: 0.4184 0.5431 0.9084  4 O 1.76-1.87
Mo: 0.4569 0.5816 0.5916  4 O 1.76-1.87
Mo: 0.5431 0.4184 0.4084  4 O 1.76-1.87
Mo: 0.5816 0.4569 0.0916  4 O 1.76-1.87
Mo: 0.7313 0.2471 0.8526  4 O 1.77-1.88
Mo: 0.7529 0.2687 0.6474  4 O 1.77-1.88
O: 0.0082 0.7310 0.1728  1 Mo 1.77
O: 0.0598 0.5807 0.4339  1 Mo 1.88
O: 0.0659 0.4709 0.2860  1 Mo 1.77
O: 0.0985 0.3988 0.1313  1 Mo 1.82
O: 0.1640 0.5043 0.9583  1 Mo 1.87
O: 0.2193 0.2587 0.5365  1 Mo 1.85
O: 0.2192 0.3136 0.3988  1 Mo 1.79
O: 0.2587 0.2193 0.0365  1 Mo 1.85
O: 0.2690 0.9918 0.3272  1 Mo 1.77
O: 0.2987 0.4803 0.6704  1 Mo 1.76
O: 0.3136 0.2192 0.8988  1 Mo 1.79
O: 0.3988 0.0985 0.6313  1 Mo 1.82
O: 0.4193 0.9402 0.0661  1 Mo 1.88
O: 0.4709 0.0659 0.7860  1 Mo 1.77
O: 0.4803 0.2987 0.1704  1 Mo 1.76
O: 0.4957 0.8360 0.5417  1 Mo 1.87
O: 0.5043 0.1640 0.4583  1 Mo 1.87
O: 0.5197 0.7013 0.8296  1 Mo 1.76
O: 0.5291 0.9341 0.2140  1 Mo 1.77
O: 0.5807 0.0598 0.9339  1 Mo 1.88
O: 0.6012 0.9015 0.3687  1 Mo 1.82
O: 0.6864 0.7808 0.1012  1 Mo 1.79
O: 0.7013 0.5197 0.3296  1 Mo 1.76
O: 0.7310 0.0082 0.6728  1 Mo 1.77
O: 0.7413 0.7807 0.9635  1 Mo 1.85
O: 0.7808 0.6864 0.6012  1 Mo 1.79
O: 0.7807 0.7413 0.4635  1 Mo 1.85
O: 0.8360 0.4957 0.0417  1 Mo 1.87
O: 0.9015 0.6012 0.8687  1 Mo 1.82
O: 0.9341 0.5291 0.7140  1 Mo 1.77
O: 0.9402 0.4193 0.5661  1 Mo 1.88
O: 0.9918 0.2690 0.8272  1 Mo 1.77



## LiFe4P3O12 (PBE+U)

Data for LiFe4P3O12 after structural relaxation.

Output
ρ: 3.9 g/cm³
Polymorph energy (0 for the lowest one): 3 meV/atom
Energy with MP2020 corrections: -7.88 eV per atom

Unit cell a=10.5099 b=10.5099 c=10.5099 alpha=142.06 beta=142.06 gamma=54.74
Closest atoms and distances in Å follow each position.
Fractional positions:
Li: 0.0000 0.0000 0.0000  4 O 2.24
Li: 0.7500 0.2500 0.5000  4 O 2.24
Fe: 0.0250 0.5250 0.5000  6 O 2.16-2.23
Fe: 0.1351 0.6250 0.0101  6 O 2.04-2.19
Fe: 0.2750 0.2750 0.0000  6 O 2.16-2.23
Fe: 0.3750 0.3851 0.5101  6 O 2.04-2.19
Fe: 0.4750 0.9750 0.5000  6 O 2.16-2.23
Fe: 0.6149 0.1250 0.9899  6 O 2.04-2.19
Fe: 0.7250 0.7250 0.0000  6 O 2.16-2.23
Fe: 0.8750 0.8649 0.4899  6 O 2.04-2.19
P: 0.0209 0.1250 0.3959  4 O 1.55-1.58
P: 0.2500 0.7500 0.5000  4 O 1.56
P: 0.3750 0.9791 0.1041  4 O 1.55-1.58
P: 0.5000 0.5000 0.0000  4 O 1.56
P: 0.7291 0.6250 0.6041  4 O 1.55-1.58
P: 0.8750 0.2709 0.8959  4 O 1.55-1.58
O: 0.0184 0.7597 0.3639  1 P 1.56
O: 0.0386 0.3676 0.1984  1 P 1.55
O: 0.1176 0.2886 0.6984  1 P 1.55
O: 0.1598 0.9614 0.3290  1 P 1.55
O: 0.1692 0.8402 0.8016  1 P 1.55
O: 0.2403 0.6042 0.2587  1 P 1.56
O: 0.3440 0.0576 0.2824  1 P 1.58
O: 0.3455 0.9816 0.7413  1 P 1.56
O: 0.3542 0.4903 0.7587  1 P 1.56
O: 0.3958 0.6545 0.6361  1 P 1.56
O: 0.4045 0.6458 0.1361  1 P 1.56
O: 0.4060 0.1883 0.2135  1 P 1.58
O: 0.5097 0.2684 0.8639  1 P 1.56
O: 0.5808 0.8824 0.1710  1 P 1.55
O: 0.5902 0.4192 0.3016  1 P 1.55
O: 0.6324 0.8308 0.6710  1 P 1.55
O: 0.7114 0.4098 0.8290  1 P 1.55
O: 0.7316 0.5955 0.2413  1 P 1.56
O: 0.7752 0.0617 0.7176  1 P 1.58
O: 0.8076 0.5940 0.7824  1 P 1.58
O: 0.8117 0.0252 0.2176  1 P 1.58
O: 0.9383 0.6560 0.7135  1 P 1.58
O: 0.9424 0.2248 0.2865  1 P 1.58
O: 0.9748 0.1924 0.7865  1 P 1.58



## MoO3 (PBE+U)

Data for MoO3 after structural relaxation.

Output
ρ: 4.0 g/cm³
Energy with MP2020 corrections: -7.39 eV per atom

Unit cell a=6.0961 b=6.0961 c=11.2055 alpha=90.00 beta=90.00 gamma=120.00
Closest atoms and distances in Å follow each position.
Fractional positions:
Mo: 0.0000 0.3340 0.0000  2 O 1.78
Mo: 0.0000 0.6660 0.5000  2 O 1.78
Mo: 0.3340 0.0000 0.0000  2 O 1.78
Mo: 0.3340 0.3340 0.5000  2 O 1.78
Mo: 0.6660 0.0000 0.5000  2 O 1.78
Mo: 0.6660 0.6660 0.0000  2 O 1.78
O: 0.0000 0.0000 0.4608  3 Mo 2.08
O: 0.0000 0.0000 0.9608  3 Mo 2.08
O: 0.0000 0.2614 0.1540  1 Mo 1.78
O: 0.0000 0.3808 0.8431  1 Mo 1.78
O: 0.0000 0.6192 0.3431  1 Mo 1.78
O: 0.0000 0.7386 0.6540  1 Mo 1.78
O: 0.2614 0.0000 0.1540  1 Mo 1.78
O: 0.2614 0.2614 0.6540  1 Mo 1.78
O: 0.3333 0.6667 0.0210  3 Mo 2.04
O: 0.3333 0.6667 0.5210  3 Mo 2.04
O: 0.3808 0.0000 0.8431  1 Mo 1.78
O: 0.3808 0.3808 0.3431  1 Mo 1.78
O: 0.6192 0.0000 0.3431  1 Mo 1.78
O: 0.6192 0.6192 0.8431  1 Mo 1.78
O: 0.6667 0.3333 0.0210  3 Mo 2.04
O: 0.6667 0.3333 0.5210  3 Mo 2.04
O: 0.7386 0.0000 0.6540  1 Mo 1.78
O: 0.7386 0.7386 0.1540  1 Mo 1.78



## Li3V2O3F3 (PBE+U)

Data for Li3V2O3F3 after structural relaxation.

Output
ρ: 3.1 g/cm³
Energy with MP2020 corrections: -6.84 eV per atom

Unit cell a=3.1910 b=3.2512 c=13.5238 alpha=83.49 beta=83.34 gamma=61.40
Closest atoms and distances in Å follow each position.
Fractional positions:
Li: 0.0000 0.0000 0.0000  3 F 1.93-1.95, 1 O 2.00
Li: 0.1238 0.1114 0.6400  4 F 1.91-1.93
Li: 0.3955 0.3910 0.8201  4 F 1.91-1.94
V: 0.2662 0.2645 0.2109  6 O 2.01-2.24
V: 0.5253 0.5238 0.4385  4 O 1.89-1.94
O: 0.1818 0.1627 0.4670  3 V 1.89-1.94
O: 0.5724 0.5625 0.2951  2 V 1.92-2.15
O: 0.9507 0.9570 0.1492  1 Li 2.00, 3 V 2.01-2.09
F: 0.0757 0.0609 0.7828  4 Li 1.91-1.94
F: 0.3456 0.3529 0.9622  4 Li 1.91-1.95
F: 0.4672 0.4659 0.6070  3 Li 1.92-1.93



Size of the total moment (μB per atom)
0.00; 0.80; 0.00; 0.36